Entry 1
Density functional theory data (r²SCAN) for CsO2 after structural relaxation.

a b c (Å): 4.1713 4.5955 7.3396
angles (deg): 90.00 89.97 90.00
Last column: nearest neighbours and their distance in Å.
Element x y z (fractional)
O: 0.4991 0.5000 0.9086  1 O 1.34
O: 0.5009 0.5000 0.0914  1 O 1.34
Cs: 0.5000 0.5000 0.5000  10 O 3.00-3.18
O: 0.9991 0.0000 0.5914  1 O 1.34
O: 0.0009 0.0000 0.4086  1 O 1.34
Cs: 0.0000 0.0000 0.0000  10 O 3.00-3.18

---

Entry 2
Density functional theory data (r²SCAN) for CsO2 after structural relaxation.

a b c (Å): 4.3655 4.3655 4.7627
angles (deg): 117.28 117.28 90.00
Last column: nearest neighbours and their distance in Å.
Element x y z (fractional)
O: 0.4077 0.4077 0.8153  1 O 1.34
O: 0.5923 0.5923 0.1847  1 O 1.34
Cs: 0.0000 0.0000 0.0000  10 O 2.96-3.16

---

Going by the energies, entry 1 is most stable and the next is 0.035 eV/atom up.

---

Entry 1
Density functional theory data (r²SCAN) for Tl3AsS3 after structural relaxation.

a b c (Å): 6.0914 6.0914 6.0914
angles (deg): 105.89 105.89 105.89
Last column: nearest neighbours and their distance in Å.
Element x y z (fractional)
S: 0.4245 0.0620 0.4245  1 As 2.26
S: 0.0620 0.4245 0.4245  1 As 2.26
Tl: 0.6126 0.0048 0.0048  3 S 3.05
Tl: 0.0048 0.0048 0.6126  3 S 3.05
S: 0.4245 0.4245 0.0620  1 As 2.26
Tl: 0.0048 0.6126 0.0048  3 S 3.05
As: 0.4419 0.4419 0.4419  3 S 2.26

---

Entry 2
Density functional theory data (r²SCAN) for Tl3AsS3 after structural relaxation.

a b c (Å): 5.7507 12.4843 21.9386
angles (deg): 90.00 90.00 90.00
Last column: nearest neighbours and their distance in Å.
Element x y z (fractional)
S: 0.3821 0.3728 0.5910  1 As 2.25
Tl: 0.0856 0.2204 0.8164  5 S 3.02-3.36
Tl: 0.0813 0.8333 0.9756  3 S 3.08
Tl: 0.4559 0.9313 0.6916  3 S 2.93-3.03
S: 0.8821 0.3728 0.9090  1 As 2.25
Tl: 0.0813 0.6667 0.4756  3 S 3.08
S: 0.3867 0.8953 0.1823  1 As 2.26
Tl: 0.5813 0.6667 0.0244  3 S 3.08
Tl: 0.0441 0.0687 0.1916  3 S 2.93-3.03
S: 0.8821 0.1272 0.4090  1 As 2.25
Tl: 0.9559 0.5687 0.3084  3 S 2.93-3.03
S: 0.3498 0.5537 0.9156  1 As 2.26
S: 0.1502 0.0537 0.9156  1 As 2.26
Tl: 0.9187 0.1667 0.0244  3 S 3.08
S: 0.1133 0.3953 0.1823  1 As 2.26
S: 0.3867 0.6047 0.6823  1 As 2.26
Tl: 0.5856 0.2796 0.1836  5 S 3.02-3.36
As: 0.4565 0.5494 0.5861  3 S 2.25-2.26
S: 0.6179 0.8728 0.9090  1 As 2.25
S: 0.3821 0.1272 0.0910  1 As 2.25
As: 0.4565 0.9506 0.0861  3 S 2.25-2.26
As: 0.0435 0.0494 0.5861  3 S 2.25-2.26
S: 0.6179 0.6272 0.4090  1 As 2.25
S: 0.6133 0.3953 0.3177  1 As 2.26
Tl: 0.5441 0.4313 0.8084  3 S 2.93-3.03
Tl: 0.4144 0.7796 0.3164  5 S 3.02-3.36
Tl: 0.5441 0.0687 0.3084  3 S 2.93-3.03
S: 0.1502 0.4463 0.4156  1 As 2.26
S: 0.3498 0.9463 0.4156  1 As 2.26
S: 0.8867 0.6047 0.8177  1 As 2.26
Tl: 0.0856 0.2796 0.3164  5 S 3.02-3.36
S: 0.8867 0.8953 0.3177  1 As 2.26
S: 0.8498 0.9463 0.0844  1 As 2.26
Tl: 0.4559 0.5687 0.1916  3 S 2.93-3.03
As: 0.9565 0.9506 0.4139  3 S 2.25-2.26
Tl: 0.4187 0.3333 0.9756  3 S 3.08
Tl: 0.5856 0.2204 0.6836  5 S 3.02-3.36
Tl: 0.0441 0.4313 0.6916  3 S 2.93-3.03
Tl: 0.9187 0.3333 0.5244  3 S 3.08
As: 0.5435 0.4506 0.4139  3 S 2.25-2.26
S: 0.8498 0.5537 0.5844  1 As 2.26
As: 0.0435 0.4506 0.0861  3 S 2.25-2.26
S: 0.1133 0.1047 0.6823  1 As 2.26
Tl: 0.5813 0.8333 0.5244  3 S 3.08
As: 0.5435 0.0494 0.9139  3 S 2.25-2.26
S: 0.6502 0.0537 0.5844  1 As 2.26
S: 0.6133 0.1047 0.8177  1 As 2.26
S: 0.1179 0.8728 0.5910  1 As 2.25
S: 0.1179 0.6272 0.0910  1 As 2.25
Tl: 0.4144 0.7204 0.8164  5 S 3.02-3.36
Tl: 0.4187 0.1667 0.4756  3 S 3.08
Tl: 0.9559 0.9313 0.8084  3 S 2.93-3.03
S: 0.6502 0.4463 0.0844  1 As 2.26
Tl: 0.9144 0.7204 0.6836  5 S 3.02-3.36
Tl: 0.9144 0.7796 0.1836  5 S 3.02-3.36
As: 0.9565 0.5494 0.9139  3 S 2.25-2.26

---

Going by the energies, entry 2 is most stable and the next is 0.006 eV/atom up.